VASP calculation (PBE) on a relaxed structure of KGdTiO4.

```
KGdTiO4
1.0
13.171 0.000 0.000
0.000 5.525 0.000
0.000 0.000 5.411
K Gd Ti O
4 4 4 16
direct
0.096 0.021 0.250 K
0.096 0.479 0.750 K
0.904 0.521 0.250 K
0.904 0.979 0.750 K
0.399 0.026 0.250 Gd
0.399 0.474 0.750 Gd
0.601 0.526 0.250 Gd
0.601 0.974 0.750 Gd
0.254 0.508 0.250 Ti
0.254 0.992 0.750 Ti
0.746 0.008 0.250 Ti
0.746 0.492 0.750 Ti
0.120 0.536 0.250 O
0.120 0.964 0.750 O
0.272 0.250 0.000 O
0.272 0.250 0.500 O
0.298 0.750 0.000 O
0.298 0.750 0.500 O
0.437 0.065 0.750 O
0.437 0.435 0.250 O
0.563 0.565 0.750 O
0.563 0.935 0.250 O
0.702 0.250 0.000 O
0.702 0.250 0.500 O
0.728 0.750 0.000 O
0.728 0.750 0.500 O
0.880 0.036 0.250 O
0.880 0.464 0.750 O
```

Computed properties:
calculated volume: 394 Å³ per cell
calculated total energy: -254.78 eV per cell
energy of formation: -324.9 kJ/mol of atoms

---

VASP calculation (PBE) on a relaxed structure of Ti2N2O.

```
Ti2N2O
1.0
8.216 0.000 0.000
-2.725 7.763 0.000
-2.737 -3.874 6.723
Ti N O
16 16 8
direct
0.000 0.000 0.000 Ti
0.005 0.517 0.491 Ti
0.038 0.283 0.824 Ti
0.205 0.257 0.536 Ti
0.253 0.049 0.778 Ti
0.265 0.562 0.312 Ti
0.296 0.845 0.043 Ti
0.450 0.803 0.754 Ti
0.488 0.581 0.075 Ti
0.505 0.089 0.588 Ti
0.557 0.309 0.333 Ti
0.710 0.759 0.539 Ti
0.735 0.048 0.277 Ti
0.761 0.545 0.785 Ti
0.798 0.348 0.040 Ti
0.969 0.812 0.250 Ti
0.024 0.774 0.022 N
0.026 0.600 0.299 N
0.201 0.778 0.750 N
0.211 0.000 0.514 N
0.259 0.506 0.522 N
0.300 0.329 0.832 N
0.476 0.499 0.276 N
0.487 0.826 0.517 N
0.517 0.044 0.329 N
0.527 0.096 0.844 N
0.527 0.815 0.015 N
0.742 0.276 0.240 N
0.795 0.320 0.783 N
0.799 0.559 0.567 N
0.972 0.012 0.741 N
0.988 0.062 0.247 N
0.018 0.279 0.062 O
0.244 0.596 0.059 O
0.286 0.099 0.067 O
0.477 0.328 0.563 O
0.703 0.544 0.018 O
0.713 0.786 0.800 O
0.762 0.824 0.339 O
0.975 0.277 0.564 O
```

Computed properties:
calculated volume: 429 Å³ per cell
calculated total energy: -373.26 eV per cell
energy of formation: -191.7 kJ/mol of atoms

---

In order of appearance, spin magnetization = 28.0, 0.0 μB/cell.